PBE Na2Sr3As4, relaxed; DFT formation energy = -861 meV/atom; symmetry = No. 14; energy above the lowest structure with this stoichiometry = 0.0 meV per atom; DFT total energy = -3.789 eV/atom
1.0
8.308 0.000 0.000
0.000 7.568 0.000
-8.295 0.000 15.738
Na Sr As
8 12 16
direct
0.052 0.179 0.374
0.052 0.321 0.874
0.259 0.143 0.750
0.259 0.357 0.250
0.741 0.643 0.750
0.741 0.857 0.250
0.948 0.679 0.126
0.948 0.821 0.626
0.191 0.679 0.372
0.191 0.821 0.872
0.290 0.023 0.100
0.290 0.477 0.600
0.406 0.523 0.099
0.406 0.977 0.599
0.594 0.023 0.401
0.594 0.477 0.901
0.710 0.523 0.400
0.710 0.977 0.900
0.809 0.179 0.128
0.809 0.321 0.628
0.005 0.148 0.536
0.005 0.352 0.036
0.166 0.520 0.750
0.166 0.980 0.250
0.379 0.739 0.251
0.379 0.761 0.751
0.431 0.150 0.963
0.431 0.350 0.463
0.569 0.650 0.537
0.569 0.850 0.037
0.621 0.239 0.249
0.621 0.261 0.749
0.834 0.020 0.750
0.834 0.480 0.250
0.995 0.648 0.964
0.995 0.852 0.464